Here is crystalline PrEuNbCrO6 at its relaxed geometry from the Materials Project database. Energies are from PBE with a Hubbard U.

Cell: 5.6513 5.6513 5.6513 Å, 60.00 60.00 60.00°
Fractional positions:
Cr1 0.0000 0.0000 0.0000
O1 0.7534 0.7534 0.2466
O2 0.2466 0.2466 0.7534
Eu1 0.7500 0.7500 0.7500
O3 0.2466 0.7534 0.2466
Nb1 0.5000 0.5000 0.5000
Pr1 0.2500 0.2500 0.2500
O4 0.7534 0.2466 0.2466
O5 0.7534 0.2466 0.7534
O6 0.2466 0.7534 0.7534

Here is crystalline SrV3O11 at its relaxed geometry from the Materials Project database. Energies are from PBE with a Hubbard U.

Cell: 11.2283 5.2894 9.0730 Å, 86.99 90.00 90.00°
Fractional positions:
O1 0.1095 0.4914 0.0217
V1 0.7500 0.7479 0.0237
O2 0.0393 0.7689 0.7594
O3 0.4214 0.7429 0.4190
O4 0.0786 0.7429 0.4190
O5 0.8905 0.5085 0.9783
O6 0.3903 0.0050 0.0211
O7 0.6097 0.9950 0.9789
O8 0.2500 0.2707 0.7970
V2 0.4823 0.7557 0.9333
O9 0.9214 0.2571 0.5810
O10 0.5393 0.2311 0.2406
O11 0.2500 0.2315 0.2135
V3 0.0177 0.7557 0.9333
Sr1 0.2500 0.7277 0.2497
O12 0.8903 0.9950 0.9789
V4 0.5177 0.2443 0.0667
O13 0.9607 0.2311 0.2406
O14 0.7500 0.7293 0.2030
O15 0.5786 0.2571 0.5810
Sr2 0.7500 0.2723 0.7503
O16 0.4607 0.7689 0.7594
V5 0.9823 0.2443 0.0667
O17 0.7500 0.2084 0.4603
O18 0.3905 0.4914 0.0217
O19 0.1097 0.0050 0.0211
O20 0.2500 0.7916 0.5397
V6 0.2500 0.2521 0.9763
O21 0.7500 0.7685 0.7865
O22 0.6095 0.5085 0.9783

Number 1: E (MP2020) -9.450 eV/atom, total moment 9.0 μB/f.u., total DFT energy (no corrections) -8.838 eV/atom. Number 2: E (MP2020) -7.092 eV/atom, total moment 3.5 μB/f.u., total DFT energy (no corrections) -6.249 eV/atom.